(1)
Below is a relaxed Bi12Rh12O41 crystal, with properties calculated at the PBE-GGA level.

a = 7.332 Å, b = 7.332 Å, c = 53.726 Å
α = 90.00°, β = 90.00°, γ = 120.00°
Positions (direct):
Bi 0.000 0.000 0.000
Bi 0.000 0.000 0.328
Bi 0.000 0.000 0.664
Bi 0.000 0.500 0.497
Bi 0.000 0.500 0.831
Bi 0.163 0.325 0.052
Bi 0.163 0.837 0.052
Bi 0.166 0.332 0.385
Bi 0.166 0.834 0.385
Bi 0.167 0.333 0.720
Bi 0.167 0.833 0.720
Bi 0.326 0.163 0.275
Bi 0.332 0.166 0.943
Bi 0.333 0.167 0.608
Bi 0.333 0.667 0.108
Bi 0.333 0.667 0.441
Bi 0.333 0.667 0.775
Bi 0.500 0.000 0.497
Bi 0.500 0.000 0.831
Bi 0.500 0.500 0.497
Bi 0.500 0.500 0.831
Bi 0.504 0.009 0.165
Bi 0.504 0.496 0.165
Bi 0.667 0.333 0.219
Bi 0.667 0.333 0.553
Bi 0.667 0.333 0.886
Bi 0.667 0.833 0.720
Bi 0.668 0.834 0.385
Bi 0.675 0.837 0.052
Bi 0.833 0.167 0.608
Bi 0.833 0.667 0.608
Bi 0.834 0.166 0.943
Bi 0.834 0.668 0.943
Bi 0.837 0.163 0.275
Bi 0.837 0.674 0.275
Bi 0.991 0.496 0.165
Rh 0.000 0.000 0.163
Rh 0.000 0.000 0.497
Rh 0.000 0.000 0.831
Rh 0.000 0.500 0.664
Rh 0.001 0.501 0.997
Rh 0.166 0.333 0.886
Rh 0.166 0.834 0.886
Rh 0.167 0.333 0.553
Rh 0.167 0.833 0.553
Rh 0.168 0.337 0.220
Rh 0.168 0.832 0.220
Rh 0.333 0.166 0.442
Rh 0.333 0.167 0.775
Rh 0.333 0.667 0.275
Rh 0.333 0.667 0.608
Rh 0.333 0.667 0.942
Rh 0.334 0.167 0.108
Rh 0.499 0.501 0.997
Rh 0.499 0.999 0.997
Rh 0.500 0.000 0.664
Rh 0.500 0.500 0.664
Rh 0.501 0.002 0.331
Rh 0.501 0.499 0.331
Rh 0.663 0.832 0.220
Rh 0.667 0.333 0.053
Rh 0.667 0.333 0.386
Rh 0.667 0.333 0.720
Rh 0.667 0.833 0.553
Rh 0.667 0.834 0.886
Rh 0.833 0.167 0.108
Rh 0.833 0.167 0.775
Rh 0.833 0.666 0.108
Rh 0.833 0.667 0.775
Rh 0.834 0.166 0.442
Rh 0.834 0.667 0.442
Rh 0.998 0.499 0.331
O 0.000 0.000 0.368
O 0.000 0.000 0.622
O 0.000 0.000 0.706
O 0.000 0.000 0.960
O 0.047 0.524 0.293
O 0.054 0.527 0.960
O 0.056 0.528 0.627
O 0.056 0.528 0.877
O 0.057 0.528 0.544
O 0.057 0.529 0.211
O 0.138 0.276 0.433
O 0.138 0.276 0.766
O 0.138 0.277 0.516
O 0.138 0.862 0.433
O 0.138 0.862 0.516
O 0.138 0.862 0.766
O 0.139 0.277 0.849
O 0.139 0.861 0.849
O 0.140 0.281 0.098
O 0.140 0.860 0.098
O 0.142 0.284 0.182
O 0.142 0.858 0.182
O 0.193 0.385 0.339
O 0.193 0.807 0.339
O 0.194 0.389 0.923
O 0.194 0.806 0.923
O 0.195 0.390 0.006
O 0.195 0.390 0.590
O 0.195 0.390 0.673
O 0.195 0.391 0.257
O 0.195 0.805 0.006
O 0.195 0.805 0.257
O 0.195 0.805 0.590
O 0.195 0.805 0.673
O 0.274 0.137 0.145
O 0.276 0.138 0.895
O 0.277 0.138 0.479
O 0.277 0.138 0.562
O 0.277 0.139 0.812
O 0.286 0.143 0.229
O 0.333 0.667 0.063
O 0.333 0.667 0.153
O 0.333 0.667 0.399
O 0.333 0.667 0.483
O 0.333 0.667 0.733
O 0.333 0.667 0.817
O 0.385 0.193 0.988
O 0.389 0.194 0.405
O 0.390 0.195 0.322
O 0.390 0.195 0.655
O 0.390 0.195 0.738
O 0.392 0.196 0.071
O 0.471 0.529 0.211
O 0.471 0.943 0.211
O 0.472 0.528 0.544
O 0.472 0.528 0.627
O 0.472 0.528 0.877
O 0.472 0.943 0.544
O 0.472 0.944 0.627
O 0.472 0.944 0.877
O 0.473 0.527 0.960
O 0.473 0.946 0.960
O 0.476 0.524 0.293
O 0.476 0.953 0.293
O 0.524 0.049 0.035
O 0.524 0.476 0.035
O 0.527 0.053 0.118
O 0.527 0.054 0.368
O 0.527 0.473 0.118
O 0.527 0.473 0.368
O 0.528 0.056 0.701
O 0.528 0.057 0.451
O 0.528 0.057 0.784
O 0.528 0.472 0.451
O 0.528 0.472 0.701
O 0.528 0.472 0.784
O 0.609 0.805 0.257
O 0.610 0.805 0.006
O 0.610 0.805 0.590
O 0.610 0.805 0.673
O 0.611 0.806 0.923
O 0.615 0.807 0.339
O 0.667 0.333 0.261
O 0.667 0.333 0.511
O 0.667 0.333 0.594
O 0.667 0.333 0.845
O 0.667 0.333 0.929
O 0.716 0.858 0.182
O 0.719 0.860 0.098
O 0.723 0.861 0.849
O 0.723 0.862 0.516
O 0.724 0.862 0.433
O 0.724 0.862 0.766
O 0.804 0.196 0.071
O 0.804 0.608 0.071
O 0.805 0.195 0.322
O 0.805 0.195 0.655
O 0.805 0.195 0.738
O 0.805 0.610 0.322
O 0.805 0.610 0.655
O 0.805 0.610 0.738
O 0.806 0.194 0.405
O 0.806 0.611 0.405
O 0.807 0.193 0.988
O 0.807 0.615 0.988
O 0.857 0.143 0.229
O 0.857 0.714 0.229
O 0.861 0.139 0.812
O 0.861 0.723 0.812
O 0.862 0.138 0.479
O 0.862 0.138 0.562
O 0.862 0.138 0.895
O 0.862 0.723 0.479
O 0.862 0.723 0.562
O 0.862 0.724 0.895
O 0.863 0.137 0.145
O 0.863 0.726 0.145
O 0.943 0.472 0.451
O 0.943 0.472 0.784
O 0.944 0.472 0.701
O 0.946 0.473 0.368
O 0.947 0.473 0.118
O 0.951 0.476 0.035

Its magnetic moment is 0.0 μB/f.u. As for the space-group type: No. 156. The crystal system is trigonal. As for the calculated density: 8.76 g/cm3. The uncorrected energy is -6.206 eV per atom.


(2)
Below is a relaxed KBC4NF9 crystal, with properties calculated at the PBE-GGA level.

a = 9.774 Å, b = 10.694 Å, c = 9.488 Å
α = 90.00°, β = 90.00°, γ = 90.00°
Positions (direct):
K 0.223 0.250 0.009
K 0.277 0.750 0.509
K 0.723 0.250 0.491
K 0.777 0.750 0.991
B 0.216 0.750 0.980
B 0.284 0.250 0.480
B 0.716 0.750 0.520
B 0.784 0.250 0.020
C 0.123 0.250 0.485
C 0.156 0.750 0.142
C 0.165 0.624 0.895
C 0.165 0.876 0.895
C 0.335 0.124 0.395
C 0.335 0.376 0.395
C 0.344 0.250 0.642
C 0.377 0.750 0.985
C 0.623 0.250 0.015
C 0.656 0.750 0.358
C 0.665 0.624 0.605
C 0.665 0.876 0.605
C 0.835 0.124 0.105
C 0.835 0.376 0.105
C 0.844 0.250 0.858
C 0.877 0.750 0.515
N 0.004 0.250 0.488
N 0.496 0.750 0.988
N 0.504 0.250 0.012
N 0.996 0.750 0.512
F 0.015 0.750 0.149
F 0.025 0.614 0.881
F 0.025 0.886 0.881
F 0.197 0.648 0.220
F 0.197 0.852 0.220
F 0.206 0.515 0.960
F 0.206 0.985 0.960
F 0.216 0.617 0.760
F 0.216 0.883 0.760
F 0.284 0.117 0.260
F 0.284 0.383 0.260
F 0.294 0.015 0.460
F 0.294 0.485 0.460
F 0.303 0.148 0.720
F 0.303 0.352 0.720
F 0.475 0.114 0.381
F 0.475 0.386 0.381
F 0.485 0.250 0.649
F 0.515 0.750 0.351
F 0.525 0.614 0.619
F 0.525 0.886 0.619
F 0.697 0.648 0.280
F 0.697 0.852 0.280
F 0.706 0.515 0.540
F 0.706 0.985 0.540
F 0.716 0.617 0.740
F 0.716 0.883 0.740
F 0.784 0.117 0.240
F 0.784 0.383 0.240
F 0.794 0.015 0.040
F 0.794 0.485 0.040
F 0.803 0.148 0.780
F 0.803 0.352 0.780
F 0.975 0.114 0.119
F 0.975 0.386 0.119
F 0.985 0.250 0.851

As for the space-group type: No. 62. The crystal system is orthorhombic. As for the calculated density: 1.90 g/cm3. The uncorrected energy is -5.792 eV per atom.


(3)
Below is a relaxed CaTiH6O2F6 crystal, with properties calculated at the PBE-GGA level.

a = 6.320 Å, b = 6.320 Å, c = 6.330 Å
α = 90.00°, β = 90.00°, γ = 120.00°
Positions (direct):
Ca 0.000 0.000 0.000
Ti 0.000 0.000 0.500
H 0.191 0.493 0.744
H 0.302 0.809 0.744
H 0.493 0.191 0.256
H 0.507 0.698 0.744
H 0.698 0.507 0.256
H 0.809 0.302 0.256
O 0.333 0.667 0.780
O 0.667 0.333 0.220
F 0.003 0.247 0.735
F 0.244 0.997 0.735
F 0.247 0.003 0.265
F 0.753 0.756 0.735
F 0.756 0.753 0.265
F 0.997 0.244 0.265

Its magnetic moment is 2.0 μB/f.u. As for the space-group type: No. 150. The crystal system is trigonal. As for the calculated density: 1.82 g/cm3. The uncorrected energy is -5.212 eV per atom.


(4)
Below is a relaxed Sc7Cl10 crystal, with properties calculated at the PBE-GGA level.

a = 10.051 Å, b = 10.051 Å, c = 12.664 Å
α = 91.81°, β = 91.81°, γ = 20.39°
Positions (direct):
Sc 0.000 0.000 0.000
Sc 0.187 0.187 0.467
Sc 0.304 0.304 0.305
Sc 0.332 0.332 0.751
Sc 0.668 0.668 0.249
Sc 0.696 0.696 0.695
Sc 0.813 0.813 0.533
Cl 0.108 0.108 0.124
Cl 0.109 0.109 0.636
Cl 0.222 0.222 0.845
Cl 0.408 0.408 0.602
Cl 0.448 0.448 0.112
Cl 0.552 0.552 0.888
Cl 0.592 0.592 0.398
Cl 0.778 0.778 0.155
Cl 0.891 0.891 0.364
Cl 0.892 0.892 0.876

As for the space-group type: No. 12. The crystal system is monoclinic. As for the calculated density: 2.49 g/cm3. The uncorrected energy is -5.396 eV per atom.


(5)
Below is a relaxed BeTe crystal, with properties calculated at the PBE-GGA level.

a = 3.997 Å, b = 3.997 Å, c = 6.587 Å
α = 90.00°, β = 90.00°, γ = 120.00°
Positions (direct):
Be 0.333 0.667 0.000
Be 0.667 0.333 0.500
Te 0.333 0.667 0.374
Te 0.667 0.333 0.874

Its magnetic moment is 0.0 μB/f.u. As for the space-group type: No. 186. The crystal system is hexagonal. As for the calculated density: 4.98 g/cm3. The uncorrected energy is -3.795 eV per atom.


(6)
Below is a relaxed Li5CuH2O4 crystal, with properties calculated at the PBE-GGA level.

a = 5.509 Å, b = 7.473 Å, c = 10.793 Å
α = 90.00°, β = 90.00°, γ = 90.00°
Positions (direct):
Li 0.047 0.250 0.047
Li 0.053 0.750 0.726
Li 0.066 0.750 0.217
Li 0.222 0.506 0.846
Li 0.222 0.994 0.846
Li 0.278 0.006 0.346
Li 0.278 0.494 0.346
Li 0.434 0.250 0.717
Li 0.447 0.250 0.226
Li 0.453 0.750 0.547
Li 0.547 0.250 0.453
Li 0.553 0.750 0.774
Li 0.566 0.750 0.283
Li 0.722 0.506 0.654
Li 0.722 0.994 0.654
Li 0.778 0.006 0.154
Li 0.778 0.494 0.154
Li 0.934 0.250 0.783
Li 0.947 0.250 0.274
Li 0.953 0.750 0.953
Cu 0.003 0.750 0.476
Cu 0.497 0.250 0.976
Cu 0.503 0.750 0.024
Cu 0.997 0.250 0.524
H 0.248 0.512 0.110
H 0.248 0.988 0.110
H 0.252 0.012 0.610
H 0.252 0.488 0.610
H 0.748 0.512 0.390
H 0.748 0.988 0.390
H 0.752 0.012 0.890
H 0.752 0.488 0.890
O 0.145 0.043 0.174
O 0.145 0.457 0.174
O 0.217 0.250 0.401
O 0.237 0.250 0.872
O 0.263 0.750 0.372
O 0.283 0.750 0.901
O 0.355 0.543 0.674
O 0.355 0.957 0.674
O 0.645 0.043 0.326
O 0.645 0.457 0.326
O 0.717 0.250 0.099
O 0.737 0.250 0.628
O 0.763 0.750 0.128
O 0.783 0.750 0.599
O 0.855 0.543 0.826
O 0.855 0.957 0.826

Its magnetic moment is 0.0 μB/f.u. As for the space-group type: No. 62. The crystal system is orthorhombic. As for the calculated density: 2.46 g/cm3. The uncorrected energy is -4.847 eV per atom.


Energy of formation across the listed records, respectively: -139 -160 -216 -199 -54 -166 kJ per mole of atoms.